# 1
Computed, not measured: a relaxed structure of Li24Mn7Cr5O36 at the PBE with a Hubbard U level of DFT.

Cell: 5.0134 9.7470 13.2780 Å, 97.06 100.48 94.81°
Positions (direct):
1 Li 0.0000 0.0000 0.0000
2 Li 0.0022 0.5002 0.4997
3 Li 0.1145 0.0000 0.2181
4 Li 0.1194 0.5013 0.7222
5 Li 0.1638 0.7503 0.0835
6 Li 0.1678 0.2499 0.5821
7 Li 0.2122 0.4998 0.9429
8 Li 0.2187 0.0014 0.4470
9 Li 0.3342 0.0004 0.6661
10 Li 0.3341 0.5003 0.1666
11 Li 0.4484 0.9999 0.8850
12 Li 0.4505 0.5004 0.3874
13 Li 0.4990 0.2502 0.2479
14 Li 0.4995 0.7497 0.7495
15 Li 0.5471 0.5001 0.6115
16 Li 0.5515 0.0001 0.1137
17 Li 0.6658 0.5001 0.8328
18 Li 0.6677 0.9997 0.3326
19 Li 0.7796 0.9987 0.5518
20 Li 0.7877 0.5008 0.0557
21 Li 0.8313 0.7504 0.4165
22 Li 0.8340 0.2502 0.9154
23 Li 0.8804 0.4989 0.2760
24 Li 0.8851 0.0001 0.7800
25 Mn 0.0534 0.7487 0.8592
26 Mn 0.0546 0.2502 0.3605
27 Mn 0.2775 0.2505 0.8050
28 Mn 0.3918 0.7515 0.5281
29 Mn 0.7233 0.7502 0.1934
30 Mn 0.9442 0.7499 0.6384
31 Mn 0.9446 0.2509 0.1395
32 Cr 0.2720 0.7500 0.3065
33 Cr 0.3930 0.2502 0.0256
34 Cr 0.6045 0.2481 0.4685
35 Cr 0.6038 0.7506 0.9724
36 Cr 0.7288 0.2510 0.6929
37 O 0.0186 0.6373 0.1881
38 O 0.0219 0.1387 0.6906
39 O 0.0971 0.8635 0.5477
40 O 0.0999 0.3637 0.0491
41 O 0.1647 0.1374 0.9022
42 O 0.1661 0.8614 0.7608
43 O 0.1682 0.3618 0.2616
44 O 0.1706 0.6391 0.4038
45 O 0.2343 0.1355 0.1180
46 O 0.2358 0.6365 0.6176
47 O 0.3028 0.3633 0.4746
48 O 0.3116 0.8617 0.9742
49 O 0.3510 0.6376 0.8548
50 O 0.3570 0.1386 0.3566
51 O 0.4297 0.3642 0.7147
52 O 0.4321 0.8638 0.2150
53 O 0.4991 0.3620 0.9283
54 O 0.5016 0.1372 0.5680
55 O 0.5034 0.6388 0.0699
56 O 0.5032 0.8633 0.4306
57 O 0.5682 0.1363 0.7839
58 O 0.5692 0.6366 0.2841
59 O 0.6437 0.8615 0.6428
60 O 0.6485 0.3632 0.1441
61 O 0.6864 0.1385 0.0249
62 O 0.6904 0.6385 0.5231
63 O 0.7645 0.3639 0.3831
64 O 0.7652 0.8640 0.8822
65 O 0.8272 0.3616 0.5955
66 O 0.8315 0.1387 0.2377
67 O 0.8316 0.6386 0.7369
68 O 0.8364 0.8633 0.0972
69 O 0.9027 0.6364 0.9502
70 O 0.9085 0.1345 0.4498
71 O 0.9799 0.8614 0.3081
72 O 0.9817 0.3630 0.8111

Output
Space-group type: No. 1
Polymorph energy (0 for the lowest one) (meV per atom): 0.5



# 2
Computed, not measured: a relaxed structure of Na5V3O12 at the PBE with a Hubbard U level of DFT.

Cell: 5.6532 5.6532 21.3004 Å, 90.00 90.00 118.39°
Positions (direct):
1 Na 0.0153 0.0153 0.0000
2 Na 0.0244 0.9628 0.6673
3 Na 0.0372 0.9756 0.8327
4 Na 0.2951 0.6536 0.4428
5 Na 0.3464 0.7049 0.0572
6 Na 0.6536 0.2951 0.5572
7 Na 0.7049 0.3464 0.9428
8 Na 0.9628 0.0244 0.3327
9 Na 0.9756 0.0372 0.1673
10 Na 0.9847 0.9847 0.5000
11 V 0.3517 0.6355 0.9028
12 V 0.3645 0.6483 0.5972
13 V 0.3947 0.6053 0.7500
14 V 0.6053 0.3947 0.2500
15 V 0.6355 0.3517 0.0972
16 V 0.6483 0.3645 0.4028
17 O 0.1616 0.3107 0.5837
18 O 0.1660 0.7060 0.9558
19 O 0.1880 0.7314 0.3407
20 O 0.2663 0.2719 0.7455
21 O 0.2659 0.6894 0.8220
22 O 0.2686 0.8120 0.1593
23 O 0.2719 0.2663 0.2545
24 O 0.2846 0.3078 0.9139
25 O 0.2940 0.8340 0.5442
26 O 0.3078 0.2846 0.0861
27 O 0.3107 0.1616 0.4163
28 O 0.3106 0.7341 0.6780
29 O 0.6894 0.2659 0.1780
30 O 0.6893 0.8384 0.9163
31 O 0.6922 0.7154 0.5861
32 O 0.7060 0.1660 0.0442
33 O 0.7154 0.6922 0.4139
34 O 0.7281 0.7337 0.7545
35 O 0.7314 0.1880 0.6593
36 O 0.7341 0.3106 0.3220
37 O 0.7337 0.7281 0.2455
38 O 0.8120 0.2686 0.8407
39 O 0.8340 0.2940 0.4558
40 O 0.8384 0.6893 0.0837

Output
Space-group type: No. 20



# 3
Computed, not measured: a relaxed structure of InNiAg2F7 at the PBE with a Hubbard U level of DFT.

Cell: 7.7389 7.7389 7.7389 Å, 121.22 90.08 118.71°
Positions (direct):
1 In 0.0000 0.0000 0.0000
2 In 0.5000 0.0000 0.5000
3 Ni 0.5000 0.0000 0.0000
4 Ni 0.5000 0.5000 0.5000
5 Ag 0.0000 0.0000 0.5000
6 Ag 0.0000 0.5000 0.0000
7 Ag 0.0000 0.5000 0.5000
8 Ag 0.5000 0.5000 0.0000
9 F 0.1309 0.2313 0.8996
10 F 0.1682 0.7687 0.3996
11 F 0.1887 0.2749 0.3248
12 F 0.1887 0.8639 0.9138
13 F 0.4217 0.6717 0.7500
14 F 0.4500 0.2749 0.5862
15 F 0.4500 0.8639 0.1752
16 F 0.5500 0.1361 0.8248
17 F 0.5500 0.7251 0.4138
18 F 0.5783 0.3283 0.2500
19 F 0.8113 0.1361 0.0862
20 F 0.8113 0.7251 0.6752
21 F 0.8318 0.2313 0.6004
22 F 0.8691 0.7687 0.1004

Output
Space-group type: No. 74



What energy values result from the calculations? In sequence: -6.23 -5.91 -4.10 eV per atom.
What E_form values result from the calculations? In sequence: -2201 -1917 -2112 meV per atom.